# 1
{
  "formula": "Sm3Sb4S9",
  "functional": "PBE",
  "state": "relaxed",
  "lattice": [[15.865, 0.000, 0.000], [0.000, 3.850, 0.000], [0.000, 0.000, 24.588]],
  "species": ["Sm", "Sm", "Sm", "Sm", "Sm", "Sm", "Sm", "Sm", "Sm", "Sm", "Sm", "Sm", "Sb", "Sb", "Sb", "Sb", "Sb", "Sb", "Sb", "Sb", "Sb", "Sb", "Sb", "Sb", "Sb", "Sb", "Sb", "Sb", "S", "S", "S", "S", "S", "S", "S", "S", "S", "S", "S", "S", "S", "S", "S", "S", "S", "S", "S", "S", "S", "S", "S", "S", "S", "S", "S", "S", "S", "S", "S", "S", "S", "S", "S", "S"],
  "frac_coords": [[0.040, 0.250, 0.233], [0.129, 0.250, 0.063], [0.174, 0.750, 0.678], [0.326, 0.250, 0.178], [0.371, 0.750, 0.563], [0.460, 0.750, 0.733], [0.540, 0.250, 0.267], [0.629, 0.250, 0.437], [0.674, 0.750, 0.822], [0.826, 0.250, 0.322], [0.871, 0.750, 0.937], [0.960, 0.750, 0.767], [0.042, 0.750, 0.412], [0.102, 0.250, 0.897], [0.146, 0.250, 0.501], [0.235, 0.750, 0.324], [0.265, 0.250, 0.824], [0.354, 0.750, 0.001], [0.398, 0.750, 0.397], [0.458, 0.250, 0.912], [0.542, 0.750, 0.088], [0.602, 0.250, 0.603], [0.646, 0.250, 0.999], [0.735, 0.750, 0.176], [0.765, 0.250, 0.676], [0.854, 0.750, 0.499], [0.898, 0.750, 0.103], [0.958, 0.250, 0.588], [0.049, 0.750, 0.138], [0.050, 0.250, 0.707], [0.055, 0.750, 0.965], [0.069, 0.750, 0.578], [0.125, 0.250, 0.336], [0.130, 0.750, 0.809], [0.204, 0.750, 0.226], [0.246, 0.750, 0.102], [0.247, 0.250, 0.977], [0.253, 0.750, 0.477], [0.254, 0.250, 0.602], [0.296, 0.250, 0.726], [0.370, 0.250, 0.309], [0.375, 0.750, 0.836], [0.431, 0.250, 0.078], [0.445, 0.250, 0.465], [0.450, 0.750, 0.207], [0.451, 0.250, 0.638], [0.549, 0.750, 0.362], [0.550, 0.250, 0.793], [0.555, 0.750, 0.535], [0.569, 0.750, 0.922], [0.625, 0.250, 0.164], [0.630, 0.750, 0.691], [0.704, 0.750, 0.274], [0.746, 0.750, 0.398], [0.747, 0.250, 0.523], [0.753, 0.750, 0.023], [0.754, 0.250, 0.898], [0.796, 0.250, 0.774], [0.870, 0.250, 0.191], [0.875, 0.750, 0.664], [0.931, 0.250, 0.422], [0.945, 0.250, 0.035], [0.950, 0.750, 0.293], [0.951, 0.250, 0.862]],
  "density_g_cm3": 5.426,
  "energy_ev_per_atom": -5.1782,
  "energy_mp2020_ev_per_atom": -5.461,
  "e_form_mev_per_atom": -1217
}


# 2
{
  "formula": "SnSb4S7",
  "functional": "PBE",
  "state": "relaxed",
  "lattice": [[11.367, 0.000, 0.000], [0.000, 3.899, 0.000], [-3.727, 0.000, 14.294]],
  "species": ["Sn", "Sn", "Sb", "Sb", "Sb", "Sb", "Sb", "Sb", "Sb", "Sb", "S", "S", "S", "S", "S", "S", "S", "S", "S", "S", "S", "S", "S", "S"],
  "frac_coords": [[0.119, 0.250, 0.286], [0.881, 0.750, 0.714], [0.156, 0.750, 0.540], [0.169, 0.750, 0.974], [0.428, 0.250, 0.881], [0.444, 0.750, 0.380], [0.556, 0.250, 0.620], [0.572, 0.750, 0.119], [0.831, 0.250, 0.026], [0.844, 0.250, 0.460], [0.013, 0.250, 0.605], [0.031, 0.250, 0.899], [0.260, 0.750, 0.833], [0.263, 0.250, 0.462], [0.267, 0.750, 0.244], [0.390, 0.250, 0.039], [0.453, 0.750, 0.680], [0.547, 0.250, 0.320], [0.610, 0.750, 0.961], [0.733, 0.250, 0.756], [0.737, 0.750, 0.538], [0.740, 0.250, 0.167], [0.969, 0.750, 0.101], [0.987, 0.750, 0.395]],
  "density_g_cm3": 4.352,
  "energy_ev_per_atom": -4.3966,
  "energy_mp2020_ev_per_atom": -4.690,
  "e_form_mev_per_atom": -567
}